*one*
Below is a relaxed Dy2P4O13 crystal, with properties calculated at the PBE-GGA level.

Values from the calculation:
Piezoelectric modulus e_max   0.03 C/m²

```
data_Dy2P4O13
_chemical_formula_sum 'Dy4 P8 O26'
_symmetry_space_group_name_H-M 'P 1'
_symmetry_Int_Tables_number 1
_symmetry_space_group_name_Hall 'P 1'
_cell_length_a 9.495
_cell_length_b 9.495
_cell_length_c 8.628
_cell_angle_alpha 90.00
_cell_angle_beta 90.00
_cell_angle_gamma 136.27
loop_
_atom_site_label
_atom_site_type_symbol
_atom_site_fract_x
_atom_site_fract_y
_atom_site_fract_z
Dy1 Dy 0.099 0.393 0.147
Dy2 Dy 0.393 0.099 0.853
Dy3 Dy 0.607 0.901 0.353
Dy4 Dy 0.901 0.607 0.647
P1 P 0.085 0.404 0.503
P2 P 0.220 0.337 0.774
P3 P 0.337 0.220 0.226
P4 P 0.404 0.085 0.497
P5 P 0.596 0.915 0.997
P6 P 0.663 0.780 0.726
P7 P 0.780 0.663 0.274
P8 P 0.915 0.596 0.003
O1 O 0.028 0.483 0.609
O2 O 0.081 0.760 0.887
O3 O 0.113 0.342 0.898
O4 O 0.118 0.288 0.608
O5 O 0.198 0.244 0.204
O6 O 0.240 0.919 0.613
O7 O 0.244 0.198 0.796
O8 O 0.277 0.568 0.402
O9 O 0.288 0.118 0.392
O10 O 0.342 0.113 0.102
O11 O 0.432 0.723 0.098
O12 O 0.438 0.562 0.750
O13 O 0.483 0.028 0.391
O14 O 0.517 0.972 0.891
O15 O 0.562 0.438 0.250
O16 O 0.568 0.277 0.598
O17 O 0.658 0.887 0.602
O18 O 0.712 0.882 0.892
O19 O 0.723 0.432 0.902
O20 O 0.756 0.802 0.296
O21 O 0.760 0.081 0.113
O22 O 0.802 0.756 0.704
O23 O 0.882 0.712 0.108
O24 O 0.887 0.658 0.398
O25 O 0.919 0.240 0.387
O26 O 0.972 0.517 0.109
```

***

*two*
Below is a relaxed Dy2P4O13 crystal, with properties calculated at the PBE-GGA level.

```
data_Dy2P4O13
_chemical_formula_sum 'Dy8 P16 O52'
_symmetry_space_group_name_H-M 'P 1'
_symmetry_Int_Tables_number 1
_symmetry_space_group_name_Hall 'P 1'
_cell_length_a 8.854
_cell_length_b 9.718
_cell_length_c 14.132
_cell_angle_alpha 90.00
_cell_angle_beta 105.82
_cell_angle_gamma 90.00
loop_
_atom_site_label
_atom_site_type_symbol
_atom_site_fract_x
_atom_site_fract_y
_atom_site_fract_z
Dy1 Dy 0.214 0.006 0.012
Dy2 Dy 0.214 0.494 0.512
Dy3 Dy 0.284 0.001 0.493
Dy4 Dy 0.284 0.499 0.993
Dy5 Dy 0.716 0.501 0.007
Dy6 Dy 0.716 0.999 0.507
Dy7 Dy 0.786 0.506 0.488
Dy8 Dy 0.786 0.994 0.988
P1 P 0.029 0.221 0.595
P2 P 0.029 0.279 0.095
P3 P 0.110 0.245 0.313
P4 P 0.110 0.255 0.813
P5 P 0.234 0.733 0.187
P6 P 0.234 0.767 0.687
P7 P 0.458 0.720 0.403
P8 P 0.458 0.780 0.903
P9 P 0.542 0.220 0.097
P10 P 0.542 0.280 0.597
P11 P 0.766 0.233 0.313
P12 P 0.766 0.267 0.813
P13 P 0.890 0.745 0.187
P14 P 0.890 0.755 0.687
P15 P 0.971 0.721 0.905
P16 P 0.971 0.779 0.405
O1 O 0.012 0.127 0.060
O2 O 0.012 0.373 0.560
O3 O 0.071 0.695 0.211
O4 O 0.071 0.805 0.711
O5 O 0.122 0.140 0.539
O6 O 0.122 0.360 0.039
O7 O 0.125 0.654 0.905
O8 O 0.125 0.846 0.405
O9 O 0.136 0.124 0.872
O10 O 0.136 0.225 0.708
O11 O 0.136 0.275 0.208
O12 O 0.136 0.376 0.372
O13 O 0.215 0.126 0.356
O14 O 0.215 0.374 0.856
O15 O 0.226 0.624 0.645
O16 O 0.226 0.876 0.145
O17 O 0.274 0.619 0.126
O18 O 0.274 0.881 0.626
O19 O 0.360 0.733 0.290
O20 O 0.360 0.767 0.790
O21 O 0.366 0.633 0.457
O22 O 0.366 0.867 0.957
O23 O 0.387 0.154 0.098
O24 O 0.387 0.346 0.598
O25 O 0.480 0.629 0.942
O26 O 0.480 0.871 0.442
O27 O 0.520 0.129 0.558
O28 O 0.520 0.371 0.058
O29 O 0.613 0.654 0.402
O30 O 0.613 0.846 0.902
O31 O 0.634 0.133 0.043
O32 O 0.634 0.367 0.543
O33 O 0.640 0.233 0.210
O34 O 0.640 0.267 0.710
O35 O 0.726 0.119 0.374
O36 O 0.726 0.381 0.874
O37 O 0.774 0.124 0.855
O38 O 0.774 0.376 0.355
O39 O 0.785 0.626 0.144
O40 O 0.785 0.874 0.644
O41 O 0.864 0.624 0.628
O42 O 0.864 0.725 0.792
O43 O 0.864 0.775 0.292
O44 O 0.864 0.876 0.128
O45 O 0.875 0.154 0.595
O46 O 0.875 0.346 0.095
O47 O 0.878 0.640 0.961
O48 O 0.878 0.860 0.461
O49 O 0.929 0.195 0.289
O50 O 0.929 0.305 0.789
O51 O 0.988 0.627 0.440
O52 O 0.988 0.873 0.940
```

***

*three*
Below is a relaxed Dy2P4O13 crystal, with properties calculated at the PBE-GGA level.

```
data_Dy2P4O13
_chemical_formula_sum 'Dy8 P16 O52'
_symmetry_space_group_name_H-M 'P 1'
_symmetry_Int_Tables_number 1
_symmetry_space_group_name_Hall 'P 1'
_cell_length_a 8.950
_cell_length_b 9.628
_cell_length_c 13.995
_cell_angle_alpha 90.00
_cell_angle_beta 106.85
_cell_angle_gamma 90.00
loop_
_atom_site_label
_atom_site_type_symbol
_atom_site_fract_x
_atom_site_fract_y
_atom_site_fract_z
Dy1 Dy 0.024 0.005 0.222
Dy2 Dy 0.024 0.495 0.722
Dy3 Dy 0.449 0.501 0.736
Dy4 Dy 0.449 0.999 0.236
Dy5 Dy 0.551 0.001 0.764
Dy6 Dy 0.551 0.499 0.264
Dy7 Dy 0.976 0.505 0.278
Dy8 Dy 0.976 0.995 0.778
P1 P 0.151 0.240 0.438
P2 P 0.151 0.260 0.938
P3 P 0.217 0.207 0.657
P4 P 0.217 0.293 0.157
P5 P 0.289 0.733 0.346
P6 P 0.289 0.767 0.846
P7 P 0.494 0.248 0.441
P8 P 0.494 0.252 0.941
P9 P 0.506 0.748 0.059
P10 P 0.506 0.752 0.559
P11 P 0.711 0.233 0.154
P12 P 0.711 0.267 0.654
P13 P 0.783 0.707 0.843
P14 P 0.783 0.793 0.343
P15 P 0.849 0.740 0.062
P16 P 0.849 0.760 0.562
O1 O 0.052 0.132 0.912
O2 O 0.052 0.368 0.412
O3 O 0.115 0.122 0.364
O4 O 0.115 0.378 0.864
O5 O 0.119 0.129 0.711
O6 O 0.119 0.371 0.211
O7 O 0.132 0.179 0.540
O8 O 0.132 0.321 0.040
O9 O 0.143 0.666 0.359
O10 O 0.143 0.834 0.859
O11 O 0.217 0.132 0.172
O12 O 0.217 0.368 0.672
O13 O 0.253 0.633 0.781
O14 O 0.253 0.867 0.281
O15 O 0.332 0.211 0.964
O16 O 0.332 0.289 0.464
O17 O 0.382 0.152 0.678
O18 O 0.382 0.348 0.178
O19 O 0.387 0.632 0.307
O20 O 0.387 0.868 0.807
O21 O 0.393 0.706 0.952
O22 O 0.393 0.794 0.452
O23 O 0.445 0.624 0.597
O24 O 0.445 0.876 0.097
O25 O 0.471 0.121 0.377
O26 O 0.471 0.379 0.877
O27 O 0.529 0.621 0.123
O28 O 0.529 0.879 0.623
O29 O 0.555 0.124 0.903
O30 O 0.555 0.376 0.403
O31 O 0.607 0.206 0.548
O32 O 0.607 0.294 0.048
O33 O 0.613 0.132 0.193
O34 O 0.613 0.368 0.693
O35 O 0.618 0.652 0.822
O36 O 0.618 0.848 0.322
O37 O 0.668 0.711 0.536
O38 O 0.668 0.789 0.036
O39 O 0.747 0.133 0.719
O40 O 0.747 0.367 0.219
O41 O 0.783 0.632 0.328
O42 O 0.783 0.868 0.828
O43 O 0.857 0.166 0.141
O44 O 0.857 0.334 0.641
O45 O 0.868 0.679 0.960
O46 O 0.868 0.821 0.460
O47 O 0.881 0.629 0.789
O48 O 0.881 0.871 0.289
O49 O 0.885 0.622 0.136
O50 O 0.885 0.878 0.636
O51 O 0.948 0.632 0.588
O52 O 0.948 0.868 0.088
```

***

Most stable: *one*